[1]
The following is a DFT calculation (PBE) of a geometry-optimized InMo3Se3 structure.

Cell and atoms, written as POSCAR:
```
InMo3Se3
1.0
3.445 2.885 -8.037
-6.414 4.998 4.319
3.235 2.254 2.196
Se In Mo
6 2 6
direct
0.349 0.314 0.250 Se
0.034 0.349 0.750 Se
0.686 0.034 0.250 Se
0.314 0.966 0.750 Se
0.651 0.686 0.750 Se
0.966 0.651 0.250 Se
0.333 0.667 0.250 In
0.667 0.333 0.750 In
0.175 0.157 0.750 Mo
0.017 0.175 0.250 Mo
0.157 0.983 0.250 Mo
0.825 0.843 0.250 Mo
0.843 0.017 0.750 Mo
0.983 0.825 0.750 Mo
```

Summary:
Total magnetic moment in μB/f.u.: 0.00
Space-group type: P6_3/m, No. 176
Volume in Å³/f.u.: 165.7
Formation energy from the elements in eV per formula unit: -4.39
Energy above the most stable polymorph in this dataset in meV/atom: 0



[2]
The following is a DFT calculation (PBE) of a geometry-optimized Na3Bi2H42C18I9N6O9 structure.

Cell and atoms, written as POSCAR:
```
Na3Bi2H42C18I9N6O9
1.0
12.960 -0.019 4.026
5.271 11.722 4.533
0.015 -0.087 19.055
I Bi H N C O Na
18 4 84 12 36 18 6
direct
0.380 0.740 0.245 I
0.902 0.457 0.225 I
0.302 0.958 0.413 I
0.636 0.666 0.368 I
0.364 0.334 0.632 I
0.665 0.514 0.086 I
0.599 0.031 0.279 I
0.401 0.969 0.721 I
0.600 0.374 0.325 I
0.098 0.543 0.775 I
0.698 0.042 0.587 I
0.335 0.486 0.914 I
0.336 0.181 0.867 I
0.313 0.108 0.173 I
0.400 0.626 0.675 I
0.687 0.892 0.827 I
0.664 0.819 0.133 I
0.620 0.260 0.755 I
0.532 0.092 0.728 Bi
0.353 0.425 0.772 Bi
0.468 0.908 0.272 Bi
0.647 0.575 0.228 Bi
0.192 0.983 0.658 H
0.574 0.057 0.032 H
0.451 0.196 0.497 H
0.697 0.305 0.929 H
0.740 0.810 0.417 H
0.091 0.775 0.451 H
0.316 0.494 0.410 H
0.165 0.758 0.520 H
0.501 0.793 0.981 H
0.176 0.926 0.592 H
0.457 0.441 0.146 H
0.592 0.303 0.012 H
0.499 0.207 0.019 H
0.684 0.506 0.590 H
0.668 0.730 0.650 H
0.538 0.145 0.942 H
0.597 0.373 0.587 H
0.887 0.923 0.416 H
0.740 0.225 0.018 H
0.979 0.774 0.860 H
0.824 0.074 0.408 H
0.949 0.569 0.009 H
0.824 0.453 0.903 H
0.808 0.017 0.342 H
0.426 0.943 0.968 H
0.111 0.956 0.249 H
0.738 0.602 0.889 H
0.176 0.547 0.097 H
0.565 0.926 0.506 H
0.183 0.310 0.991 H
0.907 0.659 0.922 H
0.889 0.044 0.751 H
0.260 0.190 0.583 H
0.657 0.326 0.501 H
0.260 0.775 0.982 H
0.052 0.315 0.907 H
0.051 0.431 0.991 H
0.586 0.660 0.861 H
0.915 0.223 0.104 H
0.332 0.270 0.350 H
0.435 0.074 0.494 H
0.945 0.887 0.903 H
0.835 0.242 0.480 H
0.212 0.381 0.389 H
0.921 0.926 0.653 H
0.093 0.341 0.078 H
0.703 0.446 0.751 H
0.085 0.777 0.896 H
0.399 0.526 0.502 H
0.202 0.255 0.388 H
0.909 0.225 0.549 H
0.539 0.831 0.591 H
0.113 0.077 0.584 H
0.086 0.674 0.539 H
0.055 0.113 0.097 H
0.461 0.169 0.409 H
0.423 0.342 0.229 H
0.798 0.745 0.612 H
0.817 0.690 0.009 H
0.021 0.226 0.140 H
0.549 0.804 0.503 H
0.997 0.168 0.274 H
0.462 0.855 0.058 H
0.079 0.074 0.347 H
0.343 0.674 0.499 H
0.601 0.474 0.498 H
0.861 0.549 0.821 H
0.262 0.398 0.111 H
0.139 0.451 0.179 H
0.003 0.832 0.726 H
0.914 0.326 0.461 H
0.408 0.697 0.988 H
0.752 0.009 0.931 H
0.297 0.554 0.249 H
0.577 0.658 0.771 H
0.303 0.695 0.071 H
0.248 0.991 0.069 H
0.931 0.156 0.369 H
0.543 0.559 0.854 H
0.414 0.340 0.139 H
0.069 0.844 0.631 H
0.788 0.619 0.611 H
0.948 0.685 0.093 H
0.403 0.627 0.413 H
0.719 0.524 0.820 N
0.296 0.232 0.467 N
0.758 0.374 0.535 N
0.329 0.847 0.027 N
0.969 0.017 0.328 N
0.962 0.728 0.977 N
0.671 0.153 0.973 N
0.281 0.476 0.180 N
0.038 0.272 0.023 N
0.031 0.983 0.672 N
0.242 0.626 0.465 N
0.704 0.768 0.533 N
0.861 0.287 0.504 C
0.025 0.261 0.959 C
0.767 0.441 0.569 C
0.743 0.711 0.605 C
0.765 0.078 0.940 C
0.975 0.739 0.041 C
0.235 0.922 0.060 C
0.417 0.164 0.468 C
0.646 0.389 0.530 C
0.435 0.861 0.008 C
0.866 0.007 0.376 C
0.778 0.760 0.468 C
0.233 0.559 0.431 C
0.354 0.611 0.470 C
0.401 0.396 0.174 C
0.791 0.532 0.860 C
0.095 0.342 0.020 C
0.005 0.204 0.095 C
0.905 0.658 0.980 C
0.034 0.943 0.284 C
0.134 0.993 0.624 C
0.139 0.713 0.496 C
0.997 0.108 0.329 C
0.599 0.604 0.826 C
0.583 0.836 0.532 C
0.565 0.139 0.992 C
0.237 0.556 0.220 C
0.324 0.748 0.016 C
0.257 0.289 0.395 C
0.209 0.468 0.140 C
0.995 0.796 0.905 C
0.763 0.444 0.780 C
0.966 0.057 0.716 C
0.003 0.892 0.671 C
0.676 0.252 0.984 C
0.222 0.240 0.532 C
0.142 0.567 0.423 O
0.987 0.136 0.718 O
0.984 0.197 0.958 O
0.141 0.916 0.080 O
0.871 0.766 0.250 O
0.858 0.433 0.577 O
0.859 0.084 0.920 O
0.046 0.484 0.622 O
0.016 0.803 0.042 O
0.013 0.864 0.282 O
0.129 0.234 0.750 O
0.882 0.701 0.465 O
0.136 0.627 0.224 O
0.954 0.516 0.378 O
0.138 0.999 0.879 O
0.118 0.299 0.535 O
0.864 0.373 0.776 O
0.862 0.001 0.121 O
0.972 0.179 0.836 Na
0.993 0.317 0.661 Na
0.000 0.000 0.000 Na
0.007 0.683 0.339 Na
0.000 0.500 0.500 Na
0.028 0.821 0.164 Na
```

Summary:
Total magnetic moment in μB/f.u.: 5.97
Space-group type: P-1, No. 2
Volume in Å³/f.u.: 1449.6
Formation energy from the elements in eV per formula unit: -31.87
Energy above the most stable polymorph in this dataset in meV/atom: 18



[3]
The following is a DFT calculation (PBE) of a geometry-optimized TaPt3 structure.

Cell and atoms, written as POSCAR:
```
TaPt3
1.0
4.614 0.000 0.000
0.000 4.934 0.000
0.000 0.000 5.614
Pt Ta
6 2
direct
0.000 0.834 0.750 Pt
0.500 0.166 0.750 Pt
0.500 0.658 0.000 Pt
0.500 0.166 0.250 Pt
0.000 0.834 0.250 Pt
0.000 0.342 0.500 Pt
0.500 0.660 0.500 Ta
0.000 0.340 0.000 Ta
```

Summary:
Space-group type: Pmmn, No. 59
Volume in Å³/f.u.: 63.9
Formation energy from the elements in eV per formula unit: -2.84



[4]
The following is a DFT calculation (PBE) of a geometry-optimized La2MgTiZnO6 structure.

Cell and atoms, written as POSCAR:
```
La2MgTiZnO6
1.0
5.500 0.242 3.477
2.036 5.115 3.477
0.341 0.242 6.498
O Zn La Ti Mg
6 1 2 1 1
direct
0.997 0.632 0.125 O
0.094 0.351 0.771 O
0.351 0.771 0.094 O
0.771 0.094 0.351 O
0.125 0.997 0.632 O
0.632 0.125 0.997 O
0.567 0.567 0.567 Zn
0.785 0.785 0.785 La
0.182 0.182 0.182 La
0.982 0.982 0.982 Ti
0.396 0.396 0.396 Mg
```

Summary:
Total magnetic moment in μB/f.u.: 0.00
Space-group type: R3, No. 146
Volume in Å³/f.u.: 170.9
Formation energy from the elements in eV per formula unit: -32.43
Energy above the most stable polymorph in this dataset in meV/atom: 102